Record 1
## CaEu2BeO5 (GGA-PBE)

Data for a relaxed CaEu2BeO5 crystal.

## Properties
- size of the total moment (μB/f.u.) = 12.0
- ρ (Mg/m³) = 6.5
- V (Å³ per atom) = 12.3
- ΔH_f (0 K) (kJ/mol of formula units) = -2722

```
data_CaEu2BeO5
_chemical_formula_sum 'Ca4 Eu8 Be4 O20'
_symmetry_space_group_name_H-M 'P 1'
_symmetry_Int_Tables_number 1
_symmetry_space_group_name_Hall 'P 1'
_cell_length_a 6.528
_cell_length_b 7.149
_cell_length_c 9.487
_cell_angle_alpha 90.00
_cell_angle_beta 90.00
_cell_angle_gamma 90.00
loop_
_atom_site_label
_atom_site_fract_x
_atom_site_fract_y
_atom_site_fract_z
O1 0.664 0.249 0.224
O2 0.687 0.558 0.929
O3 0.021 0.750 0.987
O4 0.313 0.058 0.071
Ca1 0.920 0.980 0.175
O5 0.638 0.750 0.223
O6 0.689 0.942 0.928
O7 0.164 0.749 0.276
Be1 0.192 0.249 0.104
Eu1 0.078 0.025 0.826
Be2 0.808 0.749 0.896
Be3 0.308 0.249 0.604
Ca2 0.080 0.480 0.825
Ca3 0.580 0.980 0.675
O8 0.862 0.750 0.723
O9 0.336 0.749 0.776
Ca4 0.420 0.480 0.325
O10 0.187 0.058 0.571
Eu2 0.422 0.025 0.326
Eu3 0.592 0.247 0.978
Eu4 0.908 0.247 0.478
O11 0.979 0.250 0.013
Eu5 0.922 0.525 0.174
Eu6 0.578 0.525 0.674
O12 0.138 0.250 0.277
Be4 0.692 0.749 0.396
O13 0.479 0.750 0.487
O14 0.362 0.250 0.777
O15 0.811 0.942 0.428
O16 0.311 0.442 0.072
O17 0.813 0.558 0.429
O18 0.521 0.250 0.513
Eu7 0.408 0.747 0.022
O19 0.189 0.442 0.572
O20 0.836 0.249 0.724
Eu8 0.092 0.747 0.522
```

***

Record 2
## CaBePO4F (GGA-PBE)

Data for a relaxed CaBePO4F crystal.

## Properties
- size of the total moment (μB/f.u.) = 0.0
- ρ (Mg/m³) = 3.0
- V (Å³ per atom) = 11.5
- ΔH_f (0 K) (kJ/mol of formula units) = -2563

```
data_CaBePO4F
_chemical_formula_sum 'Ca4 Be4 P4 O16 F4'
_symmetry_space_group_name_H-M 'P 1'
_symmetry_Int_Tables_number 1
_symmetry_space_group_name_Hall 'P 1'
_cell_length_a 7.751
_cell_length_b 4.821
_cell_length_c 9.812
_cell_angle_alpha 89.06
_cell_angle_beta 90.00
_cell_angle_gamma 90.00
loop_
_atom_site_label
_atom_site_fract_x
_atom_site_fract_y
_atom_site_fract_z
O1 0.896 0.756 0.540
O2 0.155 0.677 0.308
Ca1 0.889 0.004 0.331
Be1 0.914 0.458 0.837
O3 0.782 0.353 0.956
F1 0.408 0.215 0.675
O4 0.345 0.677 0.808
P1 0.270 0.473 0.919
O5 0.893 0.660 0.147
F2 0.908 0.785 0.825
O6 0.845 0.323 0.692
O7 0.655 0.323 0.192
F3 0.592 0.785 0.325
Ca2 0.611 0.004 0.831
F4 0.092 0.215 0.175
P2 0.770 0.527 0.581
O8 0.393 0.340 0.353
Be2 0.414 0.542 0.663
O9 0.282 0.647 0.544
O10 0.218 0.647 0.044
O11 0.104 0.244 0.460
O12 0.396 0.244 0.960
P3 0.730 0.527 0.081
O13 0.718 0.353 0.456
Be3 0.586 0.458 0.337
Be4 0.086 0.542 0.163
O14 0.107 0.340 0.853
O15 0.607 0.660 0.647
Ca3 0.389 0.996 0.169
P4 0.230 0.473 0.419
Ca4 0.111 0.996 0.669
O16 0.604 0.756 0.040
```

***

Record 3
## Ca4Be4P4O17F3 (GGA-PBE)

Data for a relaxed Ca4Be4P4O17F3 crystal.

## Properties
- size of the total moment (μB/f.u.) = 1.0
- ρ (Mg/m³) = 2.9
- V (Å³ per atom) = 11.5
- ΔH_f (0 K) (kJ/mol of formula units) = -9919

```
data_Ca4Be4P4O17F3
_chemical_formula_sum 'Ca4 Be4 P4 O17 F3'
_symmetry_space_group_name_H-M 'P 1'
_symmetry_Int_Tables_number 1
_symmetry_space_group_name_Hall 'P 1'
_cell_length_a 4.839
_cell_length_b 7.763
_cell_length_c 9.807
_cell_angle_alpha 89.95
_cell_angle_beta 89.32
_cell_angle_gamma 89.98
loop_
_atom_site_label
_atom_site_fract_x
_atom_site_fract_y
_atom_site_fract_z
Be1 0.541 0.914 0.161
P1 0.526 0.270 0.082
F1 0.215 0.591 0.673
Be2 0.457 0.086 0.839
P2 0.528 0.231 0.583
O1 0.676 0.845 0.307
O2 0.348 0.217 0.958
Be3 0.459 0.414 0.339
O3 0.648 0.718 0.543
O4 0.326 0.155 0.693
O5 0.324 0.345 0.194
Ca1 0.003 0.387 0.831
O6 0.246 0.602 0.961
O7 0.648 0.783 0.043
F2 0.785 0.408 0.327
O8 0.339 0.607 0.353
Ca2 0.998 0.885 0.670
O9 0.789 0.095 0.818
O10 0.757 0.103 0.543
O11 0.753 0.397 0.041
P3 0.473 0.770 0.418
F3 0.215 0.909 0.173
O12 0.246 0.897 0.459
O13 0.662 0.107 0.146
Be4 0.541 0.587 0.662
O14 0.674 0.655 0.807
Ca3 0.996 0.611 0.169
O15 0.334 0.892 0.855
O16 0.662 0.394 0.646
O17 0.354 0.281 0.456
Ca4 0.005 0.111 0.330
P4 0.471 0.730 0.919
```

***

Record 4
## Rb2Ca2Be3F12 (GGA-PBE)

Data for a relaxed Rb2Ca2Be3F12 crystal.

## Properties
- ρ (Mg/m³) = 2.7
- V (Å³ per atom) = 16.2
- ΔH_f (0 K) (kJ/mol of formula units) = -6774

```
data_Rb2Ca2Be3F12
_chemical_formula_sum 'Rb8 Ca8 Be12 F48'
_symmetry_space_group_name_H-M 'P 1'
_symmetry_Int_Tables_number 1
_symmetry_space_group_name_Hall 'P 1'
_cell_length_a 10.712
_cell_length_b 10.712
_cell_length_c 10.712
_cell_angle_alpha 90.00
_cell_angle_beta 90.00
_cell_angle_gamma 90.00
loop_
_atom_site_label
_atom_site_fract_x
_atom_site_fract_y
_atom_site_fract_z
F1 0.826 0.490 0.920
Rb1 0.315 0.685 0.185
F2 0.695 0.776 0.544
F3 0.735 0.002 0.060
F4 0.998 0.560 0.765
F5 0.754 0.095 0.846
Be1 0.517 0.283 0.624
F6 0.920 0.826 0.490
Be2 0.376 0.017 0.217
F7 0.580 0.174 0.990
F8 0.498 0.940 0.235
F9 0.724 0.456 0.195
Rb2 0.549 0.451 0.951
F10 0.440 0.265 0.502
F11 0.346 0.746 0.905
Ca1 0.904 0.404 0.096
Be3 0.876 0.483 0.783
F12 0.174 0.990 0.580
F13 0.560 0.765 0.998
F14 0.154 0.254 0.405
Rb3 0.685 0.185 0.315
F15 0.405 0.154 0.254
Rb4 0.451 0.951 0.549
Ca2 0.596 0.596 0.596
F16 0.060 0.735 0.002
Be4 0.017 0.217 0.376
Ca3 0.096 0.904 0.404
Rb5 0.815 0.815 0.815
F17 0.940 0.235 0.498
Rb6 0.951 0.549 0.451
F18 0.846 0.754 0.095
F19 0.276 0.956 0.305
F20 0.326 0.010 0.080
Be5 0.717 0.124 0.983
Ca4 0.333 0.333 0.333
F21 0.510 0.420 0.674
Rb7 0.049 0.049 0.049
Ca5 0.167 0.667 0.833
F22 0.654 0.246 0.595
F23 0.746 0.905 0.346
F24 0.420 0.674 0.510
F25 0.544 0.695 0.776
Be6 0.783 0.876 0.483
F26 0.490 0.920 0.826
Be7 0.983 0.717 0.124
F27 0.595 0.654 0.246
Be8 0.124 0.983 0.717
F28 0.305 0.276 0.956
F29 0.805 0.224 0.044
F30 0.195 0.724 0.456
F31 0.235 0.498 0.940
F32 0.990 0.580 0.174
F33 0.765 0.998 0.560
Ca6 0.833 0.167 0.667
F34 0.254 0.405 0.154
F35 0.674 0.510 0.420
F36 0.246 0.595 0.654
F37 0.010 0.080 0.326
F38 0.905 0.346 0.746
F39 0.044 0.805 0.224
F40 0.002 0.060 0.735
F41 0.956 0.305 0.276
Ca7 0.404 0.096 0.904
Ca8 0.667 0.833 0.167
F42 0.095 0.846 0.754
Rb8 0.185 0.315 0.685
Be9 0.283 0.624 0.517
F43 0.080 0.326 0.010
Be10 0.483 0.783 0.876
F44 0.224 0.044 0.805
F45 0.456 0.195 0.724
F46 0.502 0.440 0.265
Be11 0.624 0.517 0.283
F47 0.265 0.502 0.440
Be12 0.217 0.376 0.017
F48 0.776 0.544 0.695
```

***

Record 5
## Ca2Be3Ge3 (GGA-PBE)

Data for a relaxed Ca2Be3Ge3 crystal.

## Properties
- size of the total moment (μB/f.u.) = 0.0
- ρ (Mg/m³) = 3.1
- V (Å³ per atom) = 22.0
- ΔH_f (0 K) (kJ/mol of formula units) = 654

```
data_Ca2Be3Ge3
_chemical_formula_sum 'Ca2 Be3 Ge3'
_symmetry_space_group_name_H-M 'P 1'
_symmetry_Int_Tables_number 1
_symmetry_space_group_name_Hall 'P 1'
_cell_length_a 2.951
_cell_length_b 2.951
_cell_length_c 20.237
_cell_angle_alpha 90.00
_cell_angle_beta 90.00
_cell_angle_gamma 90.00
loop_
_atom_site_label
_atom_site_fract_x
_atom_site_fract_y
_atom_site_fract_z
Ge1 0.500 0.500 0.609
Be1 0.500 0.500 0.500
Ge2 0.500 0.500 0.000
Be2 0.500 0.500 0.890
Ca1 0.500 0.500 0.753
Be3 0.500 0.500 0.110
Ge3 0.500 0.500 0.391
Ca2 0.500 0.500 0.247
```

***

Record 6
## CaBeGe (GGA-PBE)

Data for a relaxed CaBeGe crystal.

## Properties
- size of the total moment (μB/f.u.) = 0.0
- ρ (Mg/m³) = 3.4
- V (Å³ per atom) = 19.7
- ΔH_f (0 K) (kJ/mol of formula units) = -115

```
data_CaBeGe
_chemical_formula_sum 'Ca1 Be1 Ge1'
_symmetry_space_group_name_H-M 'P 1'
_symmetry_Int_Tables_number 1
_symmetry_space_group_name_Hall 'P 1'
_cell_length_a 3.967
_cell_length_b 3.967
_cell_length_c 4.327
_cell_angle_alpha 90.00
_cell_angle_beta 90.00
_cell_angle_gamma 120.00
loop_
_atom_site_label
_atom_site_fract_x
_atom_site_fract_y
_atom_site_fract_z
Ca1 0.333 0.667 0.000
Be1 0.000 0.000 0.500
Ge1 0.667 0.333 0.500
```

***

Record 7
## CaHfBe (GGA-PBE)

Data for a relaxed CaHfBe crystal.

## Properties
- size of the total moment (μB/f.u.) = 0.0
- ρ (Mg/m³) = 5.4
- V (Å³ per atom) = 23.3
- ΔH_f (0 K) (kJ/mol of formula units) = 209

```
data_CaHfBe
_chemical_formula_sum 'Ca1 Hf1 Be1'
_symmetry_space_group_name_H-M 'P 1'
_symmetry_Int_Tables_number 1
_symmetry_space_group_name_Hall 'P 1'
_cell_length_a 4.625
_cell_length_b 4.625
_cell_length_c 4.625
_cell_angle_alpha 60.00
_cell_angle_beta 60.00
_cell_angle_gamma 60.00
loop_
_atom_site_label
_atom_site_fract_x
_atom_site_fract_y
_atom_site_fract_z
Hf1 0.500 0.500 0.500
Be1 0.750 0.750 0.750
Ca1 0.000 0.000 0.000
```

***

Record 8
## CaLa2BeO5 (GGA-PBE)

Data for a relaxed CaLa2BeO5 crystal.

## Properties
- size of the total moment (μB/f.u.) = 0.0
- ρ (Mg/m³) = 5.8
- V (Å³ per atom) = 13.0
- ΔH_f (0 K) (kJ/mol of formula units) = -3078

```
data_CaLa2BeO5
_chemical_formula_sum 'Ca4 La8 Be4 O20'
_symmetry_space_group_name_H-M 'P 1'
_symmetry_Int_Tables_number 1
_symmetry_space_group_name_Hall 'P 1'
_cell_length_a 6.627
_cell_length_b 7.294
_cell_length_c 9.657
_cell_angle_alpha 90.00
_cell_angle_beta 90.00
_cell_angle_gamma 90.00
loop_
_atom_site_label
_atom_site_fract_x
_atom_site_fract_y
_atom_site_fract_z
La1 0.597 0.246 0.976
Be1 0.306 0.249 0.605
O1 0.983 0.250 0.014
O2 0.017 0.750 0.986
O3 0.838 0.249 0.727
La2 0.074 0.027 0.828
Be2 0.694 0.749 0.395
O4 0.808 0.942 0.427
O5 0.641 0.750 0.225
Ca1 0.077 0.478 0.826
Be3 0.194 0.249 0.105
O6 0.859 0.750 0.725
O7 0.141 0.250 0.275
La3 0.926 0.527 0.172
O8 0.359 0.250 0.775
Ca2 0.423 0.478 0.326
O9 0.662 0.249 0.227
La4 0.426 0.027 0.328
O10 0.483 0.750 0.486
O11 0.338 0.749 0.773
O12 0.517 0.250 0.514
O13 0.311 0.059 0.072
La5 0.403 0.746 0.024
Ca3 0.577 0.978 0.674
O14 0.689 0.559 0.928
O15 0.811 0.559 0.428
O16 0.192 0.442 0.573
O17 0.189 0.059 0.572
La6 0.574 0.527 0.672
O18 0.308 0.442 0.073
La7 0.097 0.746 0.524
La8 0.903 0.246 0.476
Be4 0.806 0.749 0.895
Ca4 0.923 0.978 0.174
O19 0.162 0.749 0.273
O20 0.692 0.942 0.927
```